[1]
! Ge4Se9 | the Materials Project database | r2SCAN | relaxed; values from VASP
! - Volume: 1634 Å³ per cell
! - Space group: Pca2_1, No. 29
&SYSTEM
  ibrav = 0, nat = 52, ntyp = 2
/
ATOMIC_SPECIES
Ge 72.64 Ge.upf
Se 78.96 Se.upf
CELL_PARAMETERS angstrom
-6.973 1.185 0.583
-1.392 -2.019 -12.542
-2.720 -17.534 3.125
ATOMIC_POSITIONS crystal
Ge 0.680 0.636 0.041
Ge 0.318 0.209 0.329
Se 0.847 0.151 0.150
Se 0.153 0.151 0.650
Se 0.950 0.319 0.821
Se 0.198 0.052 0.852
Ge 0.817 0.702 0.225
Se 0.559 0.820 0.217
Ge 0.183 0.202 0.775
Ge 0.818 0.636 0.854
Se 0.299 0.057 0.255
Se 0.325 0.796 0.390
Ge 0.682 0.209 0.829
Se 0.441 0.320 0.783
Se 0.325 0.296 0.110
Se 0.745 0.010 0.553
Se 0.701 0.557 0.745
Se 0.832 0.794 0.006
Se 0.654 0.656 0.546
Se 0.802 0.552 0.148
Se 0.299 0.557 0.245
Se 0.255 0.010 0.053
Ge 0.680 0.136 0.459
Ge 0.318 0.709 0.171
Se 0.950 0.819 0.679
Ge 0.320 0.136 0.959
Se 0.675 0.296 0.610
Se 0.847 0.651 0.350
Se 0.832 0.294 0.494
Se 0.168 0.794 0.506
Ge 0.818 0.136 0.646
Se 0.346 0.156 0.454
Se 0.346 0.656 0.046
Se 0.559 0.320 0.283
Se 0.654 0.156 0.954
Se 0.050 0.319 0.321
Se 0.441 0.820 0.717
Ge 0.682 0.709 0.671
Se 0.802 0.052 0.352
Se 0.168 0.294 0.994
Ge 0.817 0.202 0.275
Ge 0.182 0.636 0.354
Se 0.255 0.510 0.447
Se 0.050 0.819 0.179
Se 0.675 0.796 0.890
Se 0.153 0.651 0.850
Se 0.745 0.510 0.947
Se 0.701 0.057 0.755
Ge 0.182 0.136 0.146
Ge 0.320 0.636 0.541
Ge 0.183 0.702 0.725
Se 0.198 0.552 0.648

[2]
! CeMgNi4 | the Materials Project database | r2SCAN | relaxed; values from VASP
! - Volume: 84 Å³ per cell
! - Space group: F-43m, No. 216
&SYSTEM
  ibrav = 0, nat = 6, ntyp = 3
/
ATOMIC_SPECIES
Ni 58.69 Ni.upf
Ce 140.12 Ce.upf
Mg 24.30 Mg.upf
CELL_PARAMETERS angstrom
4.261 0.000 2.460
1.420 4.017 2.460
0.000 0.000 4.920
ATOMIC_POSITIONS crystal
Ni 0.624 0.624 0.624
Ce 0.000 0.000 0.000
Mg 0.250 0.250 0.250
Ni 0.129 0.624 0.624
Ni 0.624 0.624 0.129
Ni 0.624 0.129 0.624

[3]
! VZn2O4 | the Materials Project database | r2SCAN | relaxed; values from VASP
! - Volume: 297 Å³ per cell
&SYSTEM
  ibrav = 0, nat = 28, ntyp = 3
/
ATOMIC_SPECIES
Zn 65.41 Zn.upf
V 50.94 V.upf
O 16.00 O.upf
CELL_PARAMETERS angstrom
5.167 0.016 2.954
-1.692 9.716 2.954
-5.167 -0.016 2.954
ATOMIC_POSITIONS crystal
Zn 0.996 0.996 0.008
Zn 0.496 0.496 0.008
Zn 0.062 0.313 0.625
V 0.062 0.312 0.125
O 0.663 0.924 0.892
V 0.563 0.312 0.625
Zn 0.562 0.813 0.625
O 0.685 0.424 0.414
Zn 0.812 0.563 0.625
V 0.063 0.812 0.625
O 0.462 0.701 0.358
Zn 0.129 0.629 0.242
O 0.440 0.201 0.836
O 0.702 0.927 0.371
O 0.923 0.198 0.879
O 0.927 0.702 0.372
O 0.185 0.924 0.414
V 0.562 0.812 0.125
O 0.698 0.423 0.879
Zn 0.313 0.063 0.625
O 0.940 0.701 0.836
O 0.427 0.202 0.371
O 0.202 0.427 0.371
Zn 0.629 0.129 0.242
O 0.163 0.424 0.892
O 0.423 0.698 0.879
O 0.962 0.201 0.358
O 0.198 0.923 0.879

[4]
! Nb2Cr4Si5 | the Materials Project database | r2SCAN | relaxed; values from VASP
! - Volume: 287 Å³ per cell
! - Space group: Ibam, No. 72
&SYSTEM
  ibrav = 0, nat = 22, ntyp = 3
/
ATOMIC_SPECIES
Nb 92.91 Nb.upf
Cr 52.00 Cr.upf
Si 28.09 Si.upf
CELL_PARAMETERS angstrom
-2.429 3.752 7.884
2.430 -3.751 7.884
2.429 3.751 -7.884
ATOMIC_POSITIONS crystal
Nb 0.738 0.859 0.879
Cr 0.197 0.939 0.258
Si 0.000 0.750 0.750
Cr 0.691 0.441 0.750
Si 0.581 0.287 0.294
Nb 0.980 0.359 0.621
Cr 0.681 0.439 0.242
Nb 0.020 0.641 0.379
Nb 0.262 0.141 0.121
Si 0.514 0.935 0.579
Si 0.644 0.565 0.079
Cr 0.319 0.561 0.758
Si 0.419 0.713 0.706
Cr 0.309 0.559 0.250
Si 0.006 0.213 0.794
Si 0.356 0.435 0.921
Si 0.000 0.250 0.250
Cr 0.803 0.061 0.742
Cr 0.691 0.941 0.250
Si 0.486 0.065 0.421
Si 0.993 0.787 0.206
Cr 0.309 0.059 0.750

no.,ΔH_f (0 K) (kJ per mole of atoms)
1,-28.4
2,-31.9
3,-196.9
4,-37.9